BaZrSe3 GGA-PBE relaxed; total magnetic moment = 0.0 μB/f.u.; raw total energy = -5.779 eV per atom; E (MP2020) = -60.62 eV/cell; space group = P6_3/mmc, No. 194
1.0
-0.365 3.153 -6.532
-6.090 -1.416 3.694
0.338 5.807 2.784
Ba Se Zr
2 6 2
Cartesian
-3.928 4.462 2.374 Ba
-2.189 3.082 -2.427 Ba
-5.018 0.824 2.626 Se
-2.081 1.507 0.844 Se
-0.923 5.199 0.471 Se
-4.037 6.037 -0.898 Se
-1.100 6.720 -2.679 Se
-5.194 2.345 -0.525 Se
0.169 2.904 1.392 Zr
0.000 0.000 0.000 Zr